Run A
First-principles (GGA-PBE) data for a geometry-optimized Sr structure, as listed in the Materials Project.

Unit cell a=4.754 b=4.754 c=4.754 alpha=90.00 beta=90.00 gamma=90.00
Space group Im-3m (No. 229)
Unique sites:
Sr (0.000, 0.000, 0.000) x2

---

Run B
First-principles (GGA-PBE) data for a geometry-optimized Sr structure, as listed in the Materials Project.

Unit cell a=4.2643 b=4.2643 c=13.9143 alpha=90.00 beta=90.00 gamma=120.00
Space group P6_3/mmc (No. 194)
Unique sites:
Sr (0.0000, 0.0000, 0.0000) x2
Sr (0.3333, 0.6667, 0.2500) x2

---

Compare the structures above. Which one is the most stable? run B is.